The following is a meta-GGA r2SCAN calculation of a geometry-optimized AcMg3 structure, from the Materials Project.

Unit cell a=7.2547 b=7.2547 c=5.2377 alpha=90.00 beta=90.00 gamma=120.00
Closest atoms and distances in Å follow each position.
Space group P6_3/mmc (No. 194)
Asymmetric unit:
Ac (0.3333, 0.6667, 0.2500)  12 Mg 3.50-3.63
Mg (0.1490, 0.2980, 0.7500)  6 Mg 3.22-3.24, 2 Ac 3.50

Computed properties:
V	119	Å³/f.u.
E_form	-3	kJ/mol of atoms

The following is a meta-GGA r2SCAN calculation of a geometry-optimized LuSi2Ni structure, from the Materials Project.

Unit cell a=3.8667 b=16.5453 c=3.8533 alpha=90.00 beta=90.00 gamma=90.00
Closest atoms and distances in Å follow each position.
Space group Cmcm (No. 63)
Asymmetric unit:
Lu (0.0000, 0.1054, 0.2500)  10 Si 2.94-3.09, 4 Ni 2.96
Si (0.0000, 0.2500, 0.7500)  4 Ni 2.30
Si (0.0000, 0.4598, 0.2500)  1 Ni 2.22, 2 Si 2.34
Ni (0.0000, 0.3258, 0.2500)  5 Si 2.22-2.30

Computed properties:
V	62	Å³/f.u.
E_form	-80	kJ/mol of atoms

The following is a meta-GGA r2SCAN calculation of a geometry-optimized FeP4O11 structure, from the Materials Project.

Unit cell a=5.3427 b=22.2837 c=7.4305 alpha=90.00 beta=108.86 gamma=90.00
Closest atoms and distances in Å follow each position.
Space group P2_1/c (No. 14)
Asymmetric unit:
Fe (0.0053, 0.1137, 0.3714)  6 O 2.04-2.17
P (0.3078, 0.0724, 0.8157)  4 O 1.45-1.57
P (0.3215, 0.6782, 0.5526)  4 O 1.46-1.57
P (0.3902, 0.6957, 0.9651)  4 O 1.46-1.62
P (0.3995, 0.0343, 0.2092)  4 O 1.47-1.63
O (0.0742, 0.0766, 0.6482)  1 P 1.45
O (0.0876, 0.6551, 0.4066)  1 P 1.46
O (0.1801, 0.6837, 0.0490)  1 P 1.47
O (0.2108, 0.0435, 0.3131)  1 P 1.47
O (0.2361, 0.0444, 0.9848)  2 P 1.56-1.63
O (0.2551, 0.6942, 0.7358)  2 P 1.56-1.62
O (0.3461, 0.5655, 0.2472)  1 P 1.47
O (0.3617, 0.1621, 0.4843)  1 P 1.46
O (0.4303, 0.1357, 0.8878)  2 P 1.57
O (0.4479, 0.5376, 0.7054)  2 P 1.57-1.62
O (0.4595, 0.7336, 0.4962)  2 P 1.56-1.62

Computed properties:
V	209	Å³/f.u.
E_form	-209	kJ/mol of atoms

The following is a meta-GGA r2SCAN calculation of a geometry-optimized RbBr structure, from the Materials Project.

Unit cell a=6.9119 b=6.9119 c=6.9119 alpha=90.00 beta=90.00 gamma=90.00
Closest atoms and distances in Å follow each position.
Space group Fm-3m (No. 225)
Asymmetric unit:
Rb (0.0000, 0.0000, 0.0000)  6 Br 3.46
Br (0.0000, 0.0000, 0.5000)  6 Rb 3.46

Computed properties:
V	83	Å³/f.u.
E_form	-192	kJ/mol of atoms

The following is a meta-GGA r2SCAN calculation of a geometry-optimized NpSi3 structure, from the Materials Project.

Unit cell a=4.0153 b=4.0153 c=4.0153 alpha=90.00 beta=90.00 gamma=90.00
Closest atoms and distances in Å follow each position.
Space group Pm-3m (No. 221)
Asymmetric unit:
Np (0.0000, 0.0000, 0.0000)  12 Si 2.84
Si (0.0000, 0.5000, 0.5000)  4 Np 2.84, 8 Si 2.84

Computed properties:
V	65	Å³/f.u.
E_form	-22	kJ/mol of atoms

The following is a meta-GGA r2SCAN calculation of a geometry-optimized Na3Si17 structure, from the Materials Project.

Unit cell a=14.7035 b=14.7035 c=14.7035 alpha=90.00 beta=90.00 gamma=90.00
Closest atoms and distances in Å follow each position.
Space group Fd-3m (No. 227, origin choice 2)
Asymmetric unit:
Na (0.0000, 0.0000, 0.0000)  20 Si 3.18-3.37
Na (0.1250, 0.1250, 0.6250)  28 Si 3.92-4.00
Si (0.0321, 0.0321, 0.2179)  4 Si 2.37
Si (0.0674, 0.0674, 0.3711)  4 Si 2.36-2.39
Si (0.1250, 0.1250, 0.1250)  4 Si 2.37

Computed properties:
V	397	Å³/f.u.
E_form	0	kJ/mol of atoms